Record 1
# PBE-GGA Cs2MnBi2S5, relaxed
# * total magnetic moment: 5.0 μB per formula unit
# * final energy: -4.686 eV per atom
data_Cs2MnBi2S5
_cell_length_a 16.041
_cell_length_b 4.190
_cell_length_c 18.472
_cell_angle_alpha 90.00
_cell_angle_beta 90.00
_cell_angle_gamma 90.00
_space_group_name_H-M_alt 'P n m a'
_space_group_IT_number 62
loop_
_space_group_symop_operation_xyz
'x,y,z'
'-x,-y,-z'
'-x+1/2,-y,z+1/2'
'x+1/2,y,-z+1/2'
'x+1/2,-y+1/2,-z+1/2'
'-x+1/2,y+1/2,z+1/2'
'-x,y+1/2,-z'
'x,-y+1/2,z'
loop_
_atom_site_label
_atom_site_fract_x
_atom_site_fract_y
_atom_site_fract_z
Cs1 0.007 0.250 0.124
Cs2 0.037 0.750 0.383
Mn1 0.208 0.250 0.854
Bi1 0.209 0.750 0.698
Bi2 0.248 0.750 0.016
S1 0.109 0.250 0.756
S2 0.136 0.750 0.561
S3 0.141 0.250 0.971
S4 0.183 0.750 0.149
S5 0.212 0.250 0.344


Record 2
# PBE-GGA CsBiO3, relaxed
# * total magnetic moment: 0.3 μB per formula unit
# * final energy: -4.878 eV per atom
data_CsBiO3
_cell_length_a 4.418
_cell_length_b 4.418
_cell_length_c 4.418
_cell_angle_alpha 90.00
_cell_angle_beta 90.00
_cell_angle_gamma 90.00
_space_group_name_H-M_alt 'P m -3 m'
_space_group_IT_number 221
_space_group_name_Hall '-P 4 2 3'
loop_
_atom_site_label
_atom_site_fract_x
_atom_site_fract_y
_atom_site_fract_z
Cs1 0.000 0.000 0.000
Bi1 0.500 0.500 0.500
O1 0.000 0.500 0.500


Record 3
# PBE-GGA Cs6Bi4O9, relaxed
# * final energy: -4.761 eV per atom
data_Cs6Bi4O9
_cell_length_a 8.352
_cell_length_b 10.198
_cell_length_c 12.488
_cell_angle_alpha 104.04
_cell_angle_beta 93.69
_cell_angle_gamma 92.24
_space_group_name_H-M_alt 'P -1'
_space_group_IT_number 2
loop_
_space_group_symop_operation_xyz
'x,y,z'
'-x,-y,-z'
loop_
_atom_site_label
_atom_site_fract_x
_atom_site_fract_y
_atom_site_fract_z
Cs1 0.059 0.263 0.259
Cs2 0.119 0.051 0.639
Cs3 0.122 0.864 0.057
Cs4 0.353 0.351 0.553
Cs5 0.382 0.539 0.137
Cs6 0.435 0.749 0.750
Bi1 0.114 0.432 0.852
Bi2 0.164 0.664 0.413
Bi3 0.360 0.144 0.928
Bi4 0.386 0.956 0.370
O1 0.060 0.436 0.684
O2 0.208 0.773 0.291
O3 0.209 0.975 0.856
O4 0.212 0.095 0.400
O5 0.244 0.223 0.069
O6 0.269 0.601 0.897
O7 0.291 0.281 0.823
O8 0.313 0.507 0.369
O9 0.397 0.879 0.514


Record 4
# PBE-GGA Cs3Bi2P3S12, relaxed
# * total magnetic moment: 0.0 μB per formula unit
# * final energy: -4.456 eV per atom
data_Cs3Bi2P3S12
_cell_length_a 18.545
_cell_length_b 6.974
_cell_length_c 19.282
_cell_angle_alpha 90.00
_cell_angle_beta 98.46
_cell_angle_gamma 90.00
_space_group_name_H-M_alt 'P 1 21/c 1'
_space_group_IT_number 14
loop_
_space_group_symop_operation_xyz
'x,y,z'
'-x,-y,-z'
'-x,y+1/2,-z+1/2'
'x,-y+1/2,z+1/2'
loop_
_atom_site_label
_atom_site_fract_x
_atom_site_fract_y
_atom_site_fract_z
Cs1 0.108 0.233 0.488
Cs2 0.236 0.723 0.632
Cs3 0.376 0.248 0.308
Bi1 0.072 0.690 0.291
Bi2 0.402 0.679 0.506
P1 0.117 0.209 0.697
P2 0.223 0.747 0.918
P3 0.462 0.249 0.104
S1 0.057 0.523 0.153
S2 0.061 0.041 0.166
S3 0.115 0.734 0.435
S4 0.116 0.174 0.805
S5 0.217 0.220 0.668
S6 0.217 0.695 0.812
S7 0.273 0.003 0.950
S8 0.279 0.537 0.975
S9 0.419 0.010 0.145
S10 0.424 0.001 0.636
S11 0.425 0.746 0.371
S12 0.441 0.215 0.994


Record 5
# PBE-GGA Cs2Bi2Pd, relaxed
# * final energy: -3.334 eV per atom
data_Cs2Bi2Pd
_cell_length_a 8.067
_cell_length_b 15.168
_cell_length_c 7.170
_cell_angle_alpha 90.00
_cell_angle_beta 90.00
_cell_angle_gamma 90.00
_space_group_name_H-M_alt 'C m c m'
_space_group_IT_number 63
_space_group_name_Hall '-C 2c 2'
loop_
_atom_site_label
_atom_site_fract_x
_atom_site_fract_y
_atom_site_fract_z
Cs1 0.000 0.102 0.250
Cs2 0.000 0.305 0.750
Bi1 0.185 0.400 0.250
Pd1 0.000 0.500 0.000


Record 6
# PBE-GGA CsBi3S5, relaxed
# * final energy: -4.257 eV per atom
data_CsBi3S5
_cell_length_a 12.250
_cell_length_b 4.121
_cell_length_c 21.514
_cell_angle_alpha 90.00
_cell_angle_beta 90.00
_cell_angle_gamma 90.00
_space_group_name_H-M_alt 'P n m a'
_space_group_IT_number 62
loop_
_space_group_symop_operation_xyz
'x,y,z'
'-x,-y,-z'
'-x+1/2,-y,z+1/2'
'x+1/2,y,-z+1/2'
'x+1/2,-y+1/2,-z+1/2'
'-x+1/2,y+1/2,z+1/2'
'-x,y+1/2,-z'
'x,-y+1/2,z'
loop_
_atom_site_label
_atom_site_fract_x
_atom_site_fract_y
_atom_site_fract_z
Cs1 0.005 0.250 0.112
Bi1 0.130 0.250 0.646
Bi2 0.147 0.250 0.308
Bi3 0.165 0.750 0.474
S1 0.011 0.250 0.417
S2 0.015 0.750 0.260
S3 0.220 0.750 0.027
S4 0.226 0.250 0.868
S5 0.250 0.250 0.192


Record 7
# PBE-GGA CsBiS2, relaxed
# * final energy: -3.997 eV per atom
data_CsBiS2
_cell_length_a 8.193
_cell_length_b 9.595
_cell_length_c 7.517
_cell_angle_alpha 90.00
_cell_angle_beta 103.29
_cell_angle_gamma 90.00
_space_group_name_H-M_alt 'P 1 21/c 1'
_space_group_IT_number 14
loop_
_space_group_symop_operation_xyz
'x,y,z'
'-x,-y,-z'
'-x,y+1/2,-z+1/2'
'x,-y+1/2,z+1/2'
loop_
_atom_site_label
_atom_site_fract_x
_atom_site_fract_y
_atom_site_fract_z
Cs1 0.133 0.069 0.289
Bi1 0.411 0.666 0.363
S1 0.193 0.746 0.540
S2 0.330 0.091 0.806


Record 8
# PBE-GGA CsSiBiS4, relaxed
# * total magnetic moment: 0.0 μB per formula unit
# * final energy: -4.636 eV per atom
data_CsSiBiS4
_cell_length_a 9.498
_cell_length_b 7.127
_cell_length_c 13.106
_cell_angle_alpha 90.00
_cell_angle_beta 108.09
_cell_angle_gamma 90.00
_space_group_name_H-M_alt 'P 1 21/c 1'
_space_group_IT_number 14
loop_
_space_group_symop_operation_xyz
'x,y,z'
'-x,-y,-z'
'-x,y+1/2,-z+1/2'
'x,-y+1/2,z+1/2'
loop_
_atom_site_label
_atom_site_fract_x
_atom_site_fract_y
_atom_site_fract_z
Cs1 0.073 0.239 0.395
Si1 0.324 0.735 0.347
Bi1 0.446 0.653 0.629
S1 0.194 0.731 0.452
S2 0.286 0.510 0.236
S3 0.291 0.509 0.757
S4 0.444 0.206 0.058


Record 9
# PBE-GGA Cs2ZnBi2S5, relaxed
# * final energy: -3.934 eV per atom
data_Cs2ZnBi2S5
_cell_length_a 16.043
_cell_length_b 4.151
_cell_length_c 18.493
_cell_angle_alpha 90.00
_cell_angle_beta 90.00
_cell_angle_gamma 90.00
_space_group_name_H-M_alt 'P n m a'
_space_group_IT_number 62
loop_
_space_group_symop_operation_xyz
'x,y,z'
'-x,-y,-z'
'-x+1/2,-y,z+1/2'
'x+1/2,y,-z+1/2'
'x+1/2,-y+1/2,-z+1/2'
'-x+1/2,y+1/2,z+1/2'
'-x,y+1/2,-z'
'x,-y+1/2,z'
loop_
_atom_site_label
_atom_site_fract_x
_atom_site_fract_y
_atom_site_fract_z
Cs1 0.006 0.250 0.122
Cs2 0.039 0.750 0.381
Zn1 0.206 0.250 0.856
Bi1 0.208 0.750 0.699
Bi2 0.250 0.250 0.517
S1 0.109 0.250 0.757
S2 0.134 0.750 0.563
S3 0.143 0.250 0.971
S4 0.182 0.750 0.148
S5 0.215 0.250 0.343


Record 10
# PBE-GGA Cs3BiSe3, relaxed
# * final energy: -3.390 eV per atom
data_Cs3BiSe3
_cell_length_a 10.849
_cell_length_b 10.849
_cell_length_c 10.849
_cell_angle_alpha 90.00
_cell_angle_beta 90.00
_cell_angle_gamma 90.00
_space_group_name_H-M_alt 'P 21 3'
_space_group_IT_number 198
_space_group_name_Hall 'P 2ac 2ab 3'
loop_
_atom_site_label
_atom_site_fract_x
_atom_site_fract_y
_atom_site_fract_z
Cs1 0.070 0.070 0.070
Cs2 0.180 0.320 0.680
Cs3 0.188 0.688 0.812
Bi1 0.028 0.972 0.472
Se1 0.004 0.207 0.395


Record 11
# PBE-GGA Cs3Bi7Se12, relaxed
# * total magnetic moment: 0.0 μB per formula unit
# * final energy: -3.884 eV per atom
data_Cs3Bi7Se12
_cell_length_a 27.785
_cell_length_b 4.284
_cell_length_c 13.417
_cell_angle_alpha 90.00
_cell_angle_beta 107.11
_cell_angle_gamma 90.00
_space_group_name_H-M_alt 'C 1 m 1'
_space_group_IT_number 8
loop_
_space_group_symop_operation_xyz
'x,y,z'
'x,-y,z'
'x+1/2,y+1/2,z'
'x+1/2,-y+1/2,z'
loop_
_atom_site_label
_atom_site_fract_x
_atom_site_fract_y
_atom_site_fract_z
Cs1 0.000 0.000 0.000
Cs2 0.111 0.500 0.306
Cs3 0.272 0.000 0.747
Bi1 0.051 0.500 0.620
Bi2 0.138 0.000 0.878
Bi3 0.226 0.500 0.138
Bi4 0.319 0.000 0.400
Bi5 0.360 0.000 0.093
Bi6 0.415 0.500 0.664
Bi7 0.457 0.500 0.358
Se1 0.032 0.000 0.755
Se2 0.061 0.000 0.471
Se3 0.120 0.500 0.021
Se4 0.155 0.500 0.737
Se5 0.214 0.000 0.287
Se6 0.246 0.000 0.003
Se7 0.310 0.500 0.546
Se8 0.339 0.500 0.258
Se9 0.368 0.500 0.962
Se10 0.408 0.000 0.796
Se11 0.436 0.000 0.500
Se12 0.468 0.000 0.213


| no. | energy of formation from the pure elements (meV/atom) |
| --- | --- |
| 1 | -996 |
| 2 | -1365 |
| 3 | -1641 |
| 4 | -941 |
| 5 | -384 |
| 6 | -843 |
| 7 | -984 |
| 8 | -1102 |
| 9 | -1035 |
| 10 | -1155 |
| 11 | -874 |